Record 1
Density functional theory data (PBE) for a geometry-optimized EuSe structure.

Cell: 3.776 3.776 3.776 Å, 90.00 90.00 90.00°
Positions (direct):
Se  0.500  0.500  0.500
Eu  0.000  0.000  0.000

## Properties
DFT total energy: -17.25 eV per cell
Formation energy from the elements: -1.985 eV/atom

=====

Record 2
Density functional theory data (PBE) for a geometry-optimized ZnH20S2N2O14 structure.

Cell: 13.814 6.226 8.715 Å, 76.53 90.00 90.00°
Positions (direct):
H  0.152  0.662  0.743
O  0.432  0.903  0.312
O  0.850  0.989  0.607
H  0.241  0.637  0.163
H  0.575  0.343  0.271
H  0.980  0.185  0.235
H  0.836  0.506  0.384
H  0.336  0.494  0.116
H  0.083  0.034  0.721
O  0.224  0.370  0.392
H  0.586  0.654  0.425
O  0.406  0.233  0.074
H  0.660  0.709  0.549
H  0.117  0.885  0.252
O  0.439  0.353  0.792
H  0.414  0.346  0.575
N  0.814  0.359  0.358
H  0.925  0.343  0.771
H  0.160  0.291  0.951
H  0.348  0.662  0.243
O  0.068  0.903  0.812
O  0.932  0.097  0.188
H  0.664  0.506  0.884
H  0.340  0.291  0.451
H  0.914  0.654  0.925
H  0.086  0.346  0.075
H  0.583  0.966  0.779
O  0.561  0.647  0.208
S  0.367  0.239  0.914
O  0.276  0.370  0.892
H  0.170  0.776  0.550
H  0.259  0.637  0.663
O  0.094  0.233  0.574
H  0.840  0.709  0.049
O  0.939  0.647  0.708
H  0.075  0.657  0.229
O  0.602  0.200  0.330
O  0.061  0.353  0.292
O  0.650  0.989  0.107
H  0.417  0.034  0.221
O  0.589  0.706  0.524
O  0.102  0.800  0.170
H  0.480  0.815  0.265
O  0.398  0.800  0.670
S  0.133  0.239  0.414
O  0.776  0.630  0.608
O  0.594  0.767  0.926
H  0.383  0.885  0.752
H  0.848  0.338  0.257
O  0.724  0.630  0.108
O  0.911  0.706  0.024
H  0.917  0.966  0.279
N  0.686  0.359  0.858
Zn  0.000  0.000  0.000
H  0.741  0.363  0.337
N  0.314  0.641  0.142
O  0.089  0.294  0.976
Zn  0.500  0.000  0.500
H  0.425  0.657  0.729
H  0.759  0.363  0.837
O  0.898  0.200  0.830
O  0.568  0.097  0.688
H  0.670  0.224  0.950
O  0.411  0.294  0.476
H  0.164  0.494  0.616
O  0.350  0.011  0.893
O  0.150  0.011  0.393
H  0.883  0.115  0.748
H  0.652  0.338  0.757
H  0.330  0.776  0.050
O  0.906  0.767  0.426
H  0.520  0.185  0.735
S  0.633  0.761  0.086
N  0.186  0.641  0.642
H  0.617  0.115  0.248
H  0.830  0.224  0.450
H  0.020  0.815  0.765
S  0.867  0.761  0.586

## Properties
DFT total energy: -406.34 eV per cell
Polymorph energy (0 for the lowest one): 15 meV/atom
Formation energy from the elements: -1.268 eV/atom

=====

Record 3
Density functional theory data (PBE) for a geometry-optimized Ba3Ta4TiO15 structure.

Cell: 12.760 4.019 12.685 Å, 89.95 90.00 90.00°
Positions (direct):
Ta  0.464  0.207  0.074
O  0.246  0.187  0.658
O  0.966  0.200  0.783
Ta  0.040  0.208  0.924
O  0.255  0.191  0.344
Ba  0.427  0.708  0.329
Ta  0.960  0.208  0.424
O  0.749  0.690  0.000
O  0.594  0.192  0.994
O  0.905  0.190  0.007
O  0.392  0.195  0.933
O  0.532  0.199  0.217
O  0.468  0.199  0.717
Ta  0.751  0.200  0.004
Ti  0.670  0.240  0.284
O  0.178  0.195  0.859
O  0.672  0.681  0.293
Ta  0.249  0.200  0.504
O  0.683  0.199  0.641
O  0.754  0.187  0.158
O  0.251  0.690  0.500
O  0.406  0.192  0.494
Ti  0.330  0.240  0.784
Ba  0.917  0.706  0.174
Ba  0.252  0.705  0.994
Ba  0.083  0.706  0.674
O  0.829  0.698  0.706
O  0.745  0.191  0.844
O  0.095  0.190  0.507
O  0.041  0.697  0.922
O  0.608  0.195  0.433
O  0.892  0.198  0.568
O  0.108  0.198  0.068
O  0.959  0.697  0.422
Ta  0.536  0.207  0.574
O  0.544  0.697  0.579
Ta  0.824  0.209  0.714
O  0.456  0.697  0.079
O  0.317  0.199  0.141
Ta  0.176  0.209  0.214
O  0.034  0.200  0.283
O  0.328  0.681  0.793
Ba  0.748  0.705  0.494
O  0.171  0.698  0.206
O  0.822  0.195  0.359
Ba  0.573  0.708  0.829

## Properties
DFT total energy: -409.25 eV per cell
Polymorph energy (0 for the lowest one): 0 meV/atom
Formation energy from the elements: -3.462 eV/atom

=====

Copy entry 1 word for word.
Density functional theory data (PBE) for a geometry-optimized EuSe structure.

Cell: 3.776 3.776 3.776 Å, 90.00 90.00 90.00°
Positions (direct):
Se  0.500  0.500  0.500
Eu  0.000  0.000  0.000

## Properties
DFT total energy: -17.25 eV per cell
Formation energy from the elements: -1.985 eV/atom